Crystalline Ti3O2 at its relaxed geometry, computed with PBE-GGA.

The total energy comes out at -8.794 eV per atom. The energy with MP2020 corrections comes out at -90.691 eV for the cell shown.

Lattice parameters (Å, degrees): 5.791 5.791 5.791 52.56 52.56 52.56
Fractional coordinates of all 10 atoms:
O (0.162, 0.162, 0.162)
O (0.338, 0.338, 0.338)
O (0.838, 0.838, 0.838)
O (0.662, 0.662, 0.662)
Ti (0.580, 0.920, 0.250)
Ti (0.420, 0.080, 0.750)
Ti (0.750, 0.420, 0.080)
Ti (0.250, 0.580, 0.920)
Ti (0.080, 0.750, 0.420)
Ti (0.920, 0.250, 0.580)

---

Crystalline ErAlNi at its relaxed geometry, computed with PBE-GGA.

The total energy comes out at -5.318 eV per atom.

Lattice parameters (Å, degrees): 6.974 6.974 3.804 90.00 90.00 120.00
Fractional coordinates of all 9 atoms:
Er (0.000, 0.417, 0.500)
Er (0.583, 0.583, 0.500)
Er (0.417, 0.000, 0.500)
Al (0.000, 0.762, 0.000)
Al (0.238, 0.238, 0.000)
Al (0.762, 0.000, 0.000)
Ni (0.000, 0.000, 0.500)
Ni (0.333, 0.667, 0.000)
Ni (0.667, 0.333, 0.000)

---

Crystalline SnF4 at its relaxed geometry, computed with PBE-GGA.

The total energy comes out at -4.671 eV per atom. The energy with MP2020 corrections comes out at -25.203 eV for the cell shown.

Lattice parameters (Å, degrees): 5.114 5.114 5.114 132.02 132.02 70.20
Fractional coordinates of all 5 atoms:
F (0.500, 0.000, 0.500)
F (0.772, 0.772, 0.000)
F (0.228, 0.228, 0.000)
F (0.000, 0.500, 0.500)
Sn (0.000, 0.000, 0.000)

---

no.,energy of formation from the pure elements (eV per formula unit)
1,-11.76
2,-1.86
3,-13.54